## Ca3SiO5 (PBE)

Data for an optimized crystal structure of Ca3SiO5.

a = 11.7405 Å, b = 13.7690 Å, c = 14.3294 Å
α = 104.86°, β = 90.13°, γ = 94.39°
With the nearest neighbours (Å) after each atom.
Atoms (fractional coordinates):
O (0.6631, 0.8234, 0.5667)  5 Ca 2.35-2.44
O (0.9145, 0.6439, 0.5276)  1 Si 1.68
O (0.6840, 0.5987, 0.5016)  1 Si 1.65
O (0.8628, 0.8587, 0.4303)  1 Si 1.65
O (0.7727, 0.6888, 0.3021)  1 Si 1.66
O (0.8528, 0.1068, 0.9934)  1 Si 1.66
O (0.9910, 0.5054, 0.7410)  6 Ca 2.30-2.47
O (0.6031, 0.1680, 0.7568)  1 Si 1.65
O (0.4181, 0.4840, 0.3392)  1 Si 1.66
O (0.2331, 0.3357, 0.9487)  1 Si 1.65
O (0.7208, 0.2385, 0.9420)  1 Si 1.64
O (0.1744, 0.5265, 0.6044)  1 Si 1.65
O (0.8416, 0.8700, 0.7450)  1 Si 1.65
O (0.8550, 0.5270, 0.9103)  1 Si 1.65
O (0.3334, 0.1451, 0.9065)  6 Ca 2.31-2.51
O (0.6666, 0.8549, 0.0935)  6 Ca 2.31-2.51
O (0.1372, 0.1413, 0.5697)  1 Si 1.65
O (0.1584, 0.1300, 0.2550)  1 Si 1.65
O (0.3131, 0.5314, 0.9826)  1 Si 1.64
O (0.6124, 0.8630, 0.3247)  1 Si 1.66
O (0.1726, 0.7675, 0.6642)  1 Si 1.65
O (0.7182, 0.0811, 0.3946)  1 Si 1.66
O (0.1095, 0.4738, 0.9022)  1 Si 1.64
O (0.4400, 0.8029, 0.4200)  1 Si 1.65
O (0.9514, 0.2678, 0.9411)  1 Si 1.67
O (0.8959, 0.0000, 0.1403)  5 Ca 2.29-2.52
O (0.3471, 0.9201, 0.8520)  1 Si 1.65
O (0.4955, 0.3243, 0.9448)  5 Ca 2.31-2.42
O (0.1599, 0.9854, 0.3919)  5 Ca 2.31-2.51
O (0.8173, 0.4887, 0.5863)  1 Si 1.65
O (0.1576, 0.1399, 0.0664)  1 Si 1.66
O (0.1472, 0.8932, 0.0066)  1 Si 1.66
O (0.8905, 0.5262, 0.0978)  1 Si 1.64
O (0.4435, 0.9896, 0.3901)  1 Si 1.66
O (0.6118, 0.4461, 0.2391)  1 Si 1.65
O (0.2818, 0.9189, 0.6054)  1 Si 1.66
O (0.4420, 0.6620, 0.5488)  5 Ca 2.32-2.49
O (0.8424, 0.8601, 0.9336)  1 Si 1.66
O (0.8024, 0.3344, 0.1817)  5 Ca 2.29-2.49
O (0.3160, 0.4013, 0.4984)  1 Si 1.65
O (0.5116, 0.1925, 0.2670)  1 Si 1.65
O (0.7669, 0.6643, 0.0513)  1 Si 1.65
O (0.8256, 0.4735, 0.3956)  1 Si 1.65
O (0.1041, 0.0000, 0.8597)  5 Ca 2.29-2.52
O (0.5565, 0.0104, 0.6099)  1 Si 1.66
O (0.2619, 0.2917, 0.2074)  1 Si 1.66
O (0.5600, 0.1971, 0.5800)  1 Si 1.65
O (0.5819, 0.5160, 0.6608)  1 Si 1.66
O (0.9997, 0.7359, 0.3075)  1 Si 1.65
O (0.0090, 0.4946, 0.2590)  6 Ca 2.30-2.47
O (0.8392, 0.1135, 0.8077)  1 Si 1.65
O (0.5197, 0.6278, 0.2661)  1 Si 1.66
O (0.1402, 0.1476, 0.7552)  1 Si 1.65
O (0.0328, 0.2619, 0.1946)  1 Si 1.65
O (0.0517, 0.8943, 0.5974)  1 Si 1.66
O (0.5851, 0.5357, 0.8535)  1 Si 1.66
O (0.4803, 0.3722, 0.7339)  1 Si 1.66
O (0.2792, 0.7615, 0.0580)  1 Si 1.64
O (0.8401, 0.0146, 0.6081)  5 Ca 2.31-2.51
O (0.8274, 0.2325, 0.3358)  1 Si 1.65
O (0.7381, 0.7083, 0.7926)  1 Si 1.66
O (0.1608, 0.8865, 0.1923)  1 Si 1.65
O (0.6869, 0.4686, 0.0174)  1 Si 1.64
O (0.4884, 0.8075, 0.7330)  1 Si 1.65
O (0.0855, 0.3561, 0.4724)  1 Si 1.68
O (0.6529, 0.0799, 0.1480)  1 Si 1.65
O (0.3876, 0.1370, 0.6753)  1 Si 1.66
O (0.1976, 0.6656, 0.8183)  5 Ca 2.29-2.49
O (0.3882, 0.5539, 0.7609)  1 Si 1.65
O (0.8202, 0.2411, 0.5260)  1 Si 1.65
O (0.5119, 0.1917, 0.0784)  1 Si 1.66
O (0.5785, 0.9734, 0.8695)  1 Si 1.68
O (0.3969, 0.8320, 0.2432)  1 Si 1.65
O (0.5580, 0.3380, 0.4512)  5 Ca 2.32-2.49
O (0.2223, 0.6431, 0.2690)  5 Ca 2.30-2.42
O (0.7777, 0.3569, 0.7310)  5 Ca 2.30-2.42
O (0.0003, 0.2641, 0.6925)  1 Si 1.65
O (0.3369, 0.1766, 0.4333)  5 Ca 2.35-2.44
O (0.1798, 0.7589, 0.4740)  1 Si 1.65
O (0.4881, 0.8083, 0.9216)  1 Si 1.66
O (0.5045, 0.6757, 0.0552)  5 Ca 2.31-2.42
O (0.1450, 0.4730, 0.0897)  1 Si 1.65
O (0.9483, 0.1057, 0.4026)  1 Si 1.66
O (0.8598, 0.8524, 0.2448)  1 Si 1.65
O (0.0486, 0.7322, 0.0589)  1 Si 1.67
O (0.2273, 0.3112, 0.6979)  1 Si 1.66
O (0.4149, 0.4643, 0.1465)  1 Si 1.66
O (0.1827, 0.5113, 0.4137)  1 Si 1.65
O (0.9672, 0.7382, 0.8054)  1 Si 1.65
O (0.4215, 0.0266, 0.1305)  1 Si 1.68
Ca (0.8101, 0.1846, 0.6722)  5 O 2.34-2.42
Ca (0.1899, 0.8154, 0.3278)  5 O 2.34-2.42
Ca (0.2988, 0.0407, 0.5125)  6 O 2.31-2.54
Ca (0.9684, 0.3757, 0.1040)  6 O 2.35-2.44
Ca (0.0201, 0.9904, 0.2607)  6 O 2.29-2.54
Ca (0.3821, 0.3039, 0.3474)  6 O 2.33-2.52
Ca (0.0000, 0.0000, 0.5000)  6 O 2.37-2.43
Ca (0.0000, 0.0000, 0.0000)  6 O 2.36-2.56
Ca (0.3603, 0.2893, 0.0544)  6 O 2.35-2.51
Ca (0.6675, 0.3508, 0.5894)  6 O 2.32-2.53
Ca (0.3558, 0.2776, 0.8199)  6 O 2.35-2.50
Ca (0.6442, 0.7224, 0.1801)  6 O 2.35-2.50
Ca (0.2755, 0.0309, 0.7632)  6 O 2.31-2.52
Ca (0.8459, 0.1694, 0.1656)  6 O 2.32-2.47
Ca (0.9463, 0.3820, 0.8340)  6 O 2.28-2.47
Ca (0.4651, 0.8510, 0.0918)  6 O 2.36-2.43
Ca (0.6778, 0.3334, 0.3217)  5 O 2.32-2.51
Ca (0.8615, 0.8147, 0.5733)  5 O 2.28-2.41
Ca (0.1385, 0.1853, 0.4267)  5 O 2.28-2.41
Ca (0.8070, 0.5165, 0.2470)  6 O 2.37-2.44
Ca (0.3325, 0.6492, 0.4106)  6 O 2.32-2.53
Ca (0.5000, 0.5000, 0.0000)  6 O 2.29-2.47
Ca (0.3779, 0.2887, 0.5859)  5 O 2.36-2.56
Ca (0.1273, 0.1837, 0.9191)  6 O 2.28-2.51
Ca (0.2141, 0.4654, 0.2413)  5 O 2.35-2.47
Ca (0.4625, 0.8492, 0.5846)  6 O 2.29-2.49
Ca (0.0336, 0.6322, 0.6657)  5 O 2.30-2.47
Ca (0.7106, 0.9736, 0.0038)  5 O 2.33-2.47
Ca (0.6397, 0.7107, 0.9456)  6 O 2.35-2.51
Ca (0.5349, 0.1490, 0.9082)  6 O 2.36-2.43
Ca (0.9799, 0.0096, 0.7393)  6 O 2.29-2.54
Ca (0.0537, 0.6180, 0.1660)  6 O 2.28-2.47
Ca (0.6457, 0.3474, 0.8473)  4 O 2.30-2.49
Ca (0.7012, 0.9593, 0.4875)  6 O 2.31-2.54
Ca (0.0489, 0.6242, 0.3969)  5 O 2.32-2.43
Ca (0.1541, 0.8306, 0.8344)  6 O 2.32-2.47
Ca (0.3543, 0.6526, 0.1527)  4 O 2.30-2.49
Ca (0.2894, 0.0264, 0.9962)  5 O 2.33-2.47
Ca (0.5375, 0.1508, 0.4154)  6 O 2.29-2.49
Ca (0.7245, 0.9691, 0.2368)  6 O 2.31-2.52
Ca (0.6221, 0.7113, 0.4141)  5 O 2.36-2.56
Ca (0.0316, 0.6243, 0.8960)  6 O 2.35-2.44
Ca (0.9511, 0.3758, 0.6031)  5 O 2.32-2.43
Ca (0.9664, 0.3678, 0.3343)  5 O 2.30-2.47
Ca (0.5000, 0.5000, 0.5000)  6 O 2.32-2.46
Ca (0.3034, 0.0234, 0.2768)  6 O 2.40-2.66
Ca (0.6966, 0.9766, 0.7232)  6 O 2.40-2.66
Ca (0.3505, 0.6656, 0.9181)  5 O 2.28-2.44
Ca (0.6495, 0.3344, 0.0819)  5 O 2.28-2.44
Ca (0.1930, 0.4835, 0.7530)  6 O 2.37-2.44
Ca (0.6179, 0.6961, 0.6526)  6 O 2.33-2.52
Ca (0.3222, 0.6666, 0.6783)  5 O 2.32-2.51
Ca (0.8727, 0.8163, 0.0809)  6 O 2.28-2.51
Ca (0.7859, 0.5346, 0.7587)  5 O 2.35-2.47
Si (0.5065, 0.4956, 0.7527)  4 O 1.65-1.66
Si (0.8298, 0.1660, 0.4165)  4 O 1.65-1.66
Si (0.1602, 0.8182, 0.0790)  4 O 1.64-1.67
Si (0.8740, 0.7831, 0.3216)  4 O 1.65-1.66
Si (0.5241, 0.1220, 0.1559)  4 O 1.65-1.68
Si (0.1260, 0.2169, 0.6784)  4 O 1.65-1.66
Si (0.4935, 0.5044, 0.2473)  4 O 1.65-1.66
Si (0.8473, 0.7954, 0.8185)  4 O 1.65-1.66
Si (0.8398, 0.1818, 0.9210)  4 O 1.64-1.67
Si (0.8001, 0.5463, 0.0185)  4 O 1.64-1.65
Si (0.1914, 0.4491, 0.4975)  4 O 1.65-1.68
Si (0.5261, 0.1284, 0.6561)  4 O 1.65-1.66
Si (0.1527, 0.2046, 0.1815)  4 O 1.65-1.66
Si (0.4759, 0.8780, 0.8441)  4 O 1.65-1.68
Si (0.1999, 0.4537, 0.9815)  4 O 1.64-1.65
Si (0.1702, 0.8340, 0.5835)  4 O 1.65-1.66
Si (0.4739, 0.8716, 0.3439)  4 O 1.65-1.66
Si (0.8086, 0.5509, 0.5025)  4 O 1.65-1.68

Calculated values
- Total magnetic moment: 0.0 μB per formula unit
- Energy of formation: -30.8 eV/f.u.
- Energy above the most stable polymorph in this dataset: 0 meV per atom